Computed, not measured: a relaxed Y6C2I7 crystal at the GGA-PBE level of DFT.

Output
- energy relative to the elements (eV per atom) = -1.267
- E (eV/atom) = -5.618

a = 11.1226 Å, b = 11.1226 Å, c = 12.9272 Å
α = 121.82°, β = 121.82°, γ = 20.37°
With the nearest neighbours (Å) after each atom.
Fractional coordinates of all 15 atoms:
Y 0.1368 0.1368 0.0541  2 C 2.53
Y 0.2376 0.2376 0.6932  1 C 2.37
Y 0.3082 0.3082 0.1244  3 C 2.57-2.65
Y 0.6918 0.6918 0.8756  3 C 2.57-2.65
Y 0.7624 0.7624 0.3068  1 C 2.37
Y 0.8632 0.8632 0.9459  2 C 2.53
C 0.2809 0.2809 0.9051  6 Y 2.37-2.65
C 0.7191 0.7191 0.0949  6 Y 2.37-2.65
I 0.0588 0.0588 0.7797  3 Y 3.00-3.17
I 0.1593 0.1593 0.3209  3 Y 3.07-3.21
I 0.3868 0.3868 0.4258  3 Y 3.03-3.31
I 0.5000 0.5000 0.0000  4 Y 3.33
I 0.6132 0.6132 0.5742  3 Y 3.03-3.31
I 0.8407 0.8407 0.6791  3 Y 3.07-3.21
I 0.9412 0.9412 0.2203  3 Y 3.00-3.17